Computed, not measured: a geometry-optimized Ta2CrNO5 structure at the PBE+U level of DFT.

```
18
Lattice="3.374 -3.366 0.000 3.374 3.366 0.000 -0.048 0.000 9.239" Properties=species:S:1:pos:R:3 pbc="T T T"
Ta 0.000 0.000 0.000
Ta 3.279 0.000 1.451
Ta 3.371 0.000 4.563
Ta 6.687 0.000 6.196
Cr 0.057 0.000 3.021
Cr 3.403 0.000 7.634
N 1.379 0.000 1.479
N 5.431 0.000 7.618
O 1.335 0.000 7.621
O 1.408 0.000 4.547
O 3.396 1.319 9.195
O 3.417 1.322 6.047
O 3.449 1.298 3.029
O 3.396 -1.319 9.195
O 3.449 -1.298 3.029
O 3.417 -1.322 6.047
O 5.478 0.000 1.468
O 5.464 0.000 4.582
```

Calculated density = 8.04 g/cm3
Energy = -169.43 eV for the cell shown
Symmetry = Cm (8)


Computed, not measured: a geometry-optimized Mn6O5F7 structure at the PBE+U level of DFT.

```
36
Lattice="5.249 0.000 0.000 0.029 5.501 0.000 1.692 0.373 14.721" Properties=species:S:1:pos:R:3 pbc="T T T"
Mn 0.000 0.000 0.000
Mn 0.579 0.219 4.938
Mn 3.803 3.684 14.594
Mn 3.341 3.916 9.763
Mn 3.674 0.801 12.079
Mn 3.215 0.839 7.325
Mn 3.215 3.934 4.954
Mn 3.139 0.422 2.458
Mn 5.865 5.594 9.617
Mn 5.239 2.815 2.308
Mn 5.869 2.501 7.330
Mn 6.474 4.057 12.100
O 1.577 1.175 8.320
O 0.872 4.091 1.033
O 2.242 5.163 10.771
O 2.648 4.768 13.330
O 2.293 5.331 5.890
O 4.129 5.290 8.703
O 5.032 4.418 10.902
O 4.272 5.123 3.884
O 4.886 1.161 6.358
O 4.596 1.041 1.471
F 1.487 3.839 8.498
F 1.017 1.946 3.885
F 2.614 1.935 13.647
F 1.703 4.898 3.445
F 2.629 2.629 11.033
F 2.452 2.603 6.190
F 2.027 1.544 1.296
F 4.110 2.586 8.532
F 3.643 2.516 3.684
F 3.482 4.022 1.265
F 5.250 3.145 13.376
F 5.304 5.806 13.541
F 5.198 1.555 10.946
F 5.076 3.841 6.089
```

Calculated density = 4.24 g/cm3
Energy = -239.21 eV for the cell shown
Symmetry = P1 (1)


Computed, not measured: a geometry-optimized Gd2MgTl2W4O16 structure at the PBE+U level of DFT.

```
25
Lattice="7.542 0.000 0.000 -3.341 6.787 0.000 -3.453 -1.847 6.858" Properties=species:S:1:pos:R:3 pbc="T T T"
Gd 0.000 0.000 0.000
Gd 0.479 2.649 2.913
Mg 3.649 4.108 1.315
Tl -3.374 2.582 3.539
Tl 0.379 6.549 0.196
W -1.804 -0.686 3.675
W -1.415 1.436 6.129
W 1.942 -0.572 3.615
W 2.385 1.188 6.395
O -2.236 4.786 0.259
O -0.899 2.098 0.966
O -3.344 1.970 5.790
O -1.941 -0.491 5.738
O -1.192 1.223 3.988
O -3.141 5.656 4.103
O 1.389 0.358 2.071
O -0.884 4.560 3.025
O 1.758 3.310 1.222
O -0.695 3.150 6.032
O 0.444 0.745 6.763
O 1.829 1.392 4.422
O 2.611 -0.743 5.468
O 4.013 -0.029 3.238
O 1.830 4.375 3.994
O 2.979 5.927 1.893
```

Calculated density = 8.23 g/cm3
Energy = -197.85 eV for the cell shown
Symmetry = P1 (1)


Computed, not measured: a geometry-optimized LiCrP2O8 structure at the PBE+U level of DFT.

```
48
Lattice="4.709 0.000 0.000 0.000 9.024 0.000 -1.171 0.000 13.971" Properties=species:S:1:pos:R:3 pbc="T T T"
Li 0.052 1.409 1.782
Li -0.534 3.103 8.767
Li 4.072 5.920 5.203
Li 3.487 7.615 12.189
Cr 0.257 0.606 4.877
Cr -0.328 3.906 11.863
Cr 3.867 5.118 2.108
Cr 3.282 8.418 9.093
P 0.730 0.892 10.663
P 1.316 3.620 3.677
P 1.015 6.536 7.943
P 1.600 6.999 0.957
P 1.939 2.025 13.013
P 2.524 2.487 6.028
P 2.223 5.404 10.293
P 2.808 8.131 3.308
O -0.964 5.065 12.750
O -0.378 8.470 5.764
O 0.073 4.556 3.778
O -0.512 8.979 10.763
O 0.533 6.406 1.893
O -0.053 7.130 8.878
O 0.564 5.987 6.640
O -0.021 7.549 13.625
O 0.963 2.162 3.389
O 0.378 2.350 10.374
O 1.302 1.538 6.164
O 0.717 2.973 13.150
O 1.227 4.884 11.324
O 1.812 8.651 4.338
O 1.574 5.277 8.829
O 2.160 8.259 1.844
O 1.379 0.765 12.127
O 1.964 3.747 5.142
O 1.727 0.372 9.632
O 2.312 4.140 2.647
O 2.822 6.050 0.821
O 2.237 7.485 7.806
O 3.161 6.673 3.597
O 2.575 6.862 10.582
O 3.560 1.475 0.345
O 2.975 3.037 7.330
O 3.592 1.894 5.092
O 3.006 2.618 12.078
O 4.051 0.044 3.207
O 3.465 4.467 10.192
O 3.917 0.553 8.206
O 4.502 3.959 1.221
```

Calculated density = 2.78 g/cm3
Energy = -331.59 eV for the cell shown
Symmetry = P2_1/c (14)


> The highest calculated density belongs to which entry?

Gd2MgTl2W4O16


Please write out number 2 again, unchanged.
Computed, not measured: a geometry-optimized Mn6O5F7 structure at the PBE+U level of DFT.

```
36
Lattice="5.249 0.000 0.000 0.029 5.501 0.000 1.692 0.373 14.721" Properties=species:S:1:pos:R:3 pbc="T T T"
Mn 0.000 0.000 0.000
Mn 0.579 0.219 4.938
Mn 3.803 3.684 14.594
Mn 3.341 3.916 9.763
Mn 3.674 0.801 12.079
Mn 3.215 0.839 7.325
Mn 3.215 3.934 4.954
Mn 3.139 0.422 2.458
Mn 5.865 5.594 9.617
Mn 5.239 2.815 2.308
Mn 5.869 2.501 7.330
Mn 6.474 4.057 12.100
O 1.577 1.175 8.320
O 0.872 4.091 1.033
O 2.242 5.163 10.771
O 2.648 4.768 13.330
O 2.293 5.331 5.890
O 4.129 5.290 8.703
O 5.032 4.418 10.902
O 4.272 5.123 3.884
O 4.886 1.161 6.358
O 4.596 1.041 1.471
F 1.487 3.839 8.498
F 1.017 1.946 3.885
F 2.614 1.935 13.647
F 1.703 4.898 3.445
F 2.629 2.629 11.033
F 2.452 2.603 6.190
F 2.027 1.544 1.296
F 4.110 2.586 8.532
F 3.643 2.516 3.684
F 3.482 4.022 1.265
F 5.250 3.145 13.376
F 5.304 5.806 13.541
F 5.198 1.555 10.946
F 5.076 3.841 6.089
```

Calculated density = 4.24 g/cm3
Energy = -239.21 eV for the cell shown
Symmetry = P1 (1)